(1)
Crystalline La7Ti27Al5Cu24O96 at its relaxed geometry. Source: the Materials Project, functional GGA-PBE.

## Properties
total energy = -1206.5 eV for the cell shown
space-group type = P1 (1)

Structure (CIF):
```
data_La7Ti27Al5Cu24O96
_space_group_name_H-M_alt 'P 1'
_space_group_IT_number 1
_cell_length_a 6.4606
_cell_length_b 6.4744
_cell_length_c 42.1729
_cell_angle_alpha 89.96
_cell_angle_beta 89.92
_cell_angle_gamma 70.53
loop_
_space_group_symop_operation_xyz
'x,y,z'
loop_
_atom_site_label
_atom_site_type_symbol
_atom_site_fract_x
_atom_site_fract_y
_atom_site_fract_z
_atom_site_occupancy
La1 La 0.0000 0.0000 0.0000 1
La2 La 0.9997 0.0003 0.2508 1
La3 La 0.0032 0.9980 0.7495 1
La4 La 0.4970 0.5025 0.6245 1
La5 La 0.5003 0.4994 0.8746 1
La6 La 0.4999 0.5003 0.1254 1
La7 La 0.4999 0.5010 0.3775 1
Ti1 Ti 0.0000 0.5005 0.1254 1
Ti2 Ti 0.0006 0.4995 0.5005 1
Ti3 Ti 0.0018 0.5002 0.2508 1
Ti4 Ti 0.2350 0.7568 0.4407 1
Ti5 Ti 0.2409 0.7562 0.5598 1
Ti6 Ti 0.2463 0.7505 0.9363 1
Ti7 Ti 0.2479 0.7445 0.3144 1
Ti8 Ti 0.2495 0.7503 0.1881 1
Ti9 Ti 0.2497 0.7501 0.8123 1
Ti10 Ti 0.2502 0.7510 0.0627 1
Ti11 Ti 0.4989 0.0005 0.8746 1
Ti12 Ti 0.4985 0.9973 0.6254 1
Ti13 Ti 0.5001 0.0003 0.1254 1
Ti14 Ti 0.4996 0.0012 0.5004 1
Ti15 Ti 0.4995 0.0032 0.2512 1
Ti16 Ti 0.5005 0.9980 0.9996 1
Ti17 Ti 0.5046 0.9985 0.3769 1
Ti18 Ti 0.7493 0.2510 0.6875 1
Ti19 Ti 0.7498 0.2494 0.1881 1
Ti20 Ti 0.7503 0.2503 0.0627 1
Ti21 Ti 0.7525 0.2503 0.3148 1
Ti22 Ti 0.7516 0.2505 0.8118 1
Ti23 Ti 0.7526 0.2562 0.9368 1
Ti24 Ti 0.7591 0.2444 0.4411 1
Ti25 Ti 0.7631 0.2434 0.5605 1
Ti26 Ti 0.9963 0.5054 0.7491 1
Ti27 Ti 0.9989 0.5004 0.0001 1
Al1 Al 0.0003 0.5031 0.6254 1
Al2 Al 0.0006 0.4985 0.8747 1
Al3 Al 0.2515 0.7505 0.6877 1
Al4 Al 0.5003 0.9951 0.7497 1
Al5 Al 0.9985 0.5031 0.3763 1
Cu1 Cu 0.9999 0.0003 0.1254 1
Cu2 Cu 0.0008 0.9986 0.3757 1
Cu3 Cu 0.0021 0.9991 0.6256 1
Cu4 Cu 0.2490 0.2513 0.3133 1
Cu5 Cu 0.2494 0.2507 0.8128 1
Cu6 Cu 0.2493 0.2515 0.9372 1
Cu7 Cu 0.2501 0.2504 0.0628 1
Cu8 Cu 0.2499 0.2502 0.1879 1
Cu9 Cu 0.2503 0.2502 0.6878 1
Cu10 Cu 0.2501 0.2532 0.4375 1
Cu11 Cu 0.2500 0.2526 0.5633 1
Cu12 Cu 0.4977 0.5022 0.7498 1
Cu13 Cu 0.4994 0.5003 0.0002 1
Cu14 Cu 0.5005 0.5001 0.2505 1
Cu15 Cu 0.5000 0.5003 0.5004 1
Cu16 Cu 0.7493 0.7503 0.6877 1
Cu17 Cu 0.7495 0.7475 0.5631 1
Cu18 Cu 0.7504 0.7490 0.3135 1
Cu19 Cu 0.7499 0.7503 0.0628 1
Cu20 Cu 0.7498 0.7503 0.1879 1
Cu21 Cu 0.7503 0.7501 0.8128 1
Cu22 Cu 0.7506 0.7476 0.4375 1
Cu23 Cu 0.7513 0.7493 0.9375 1
Cu24 Cu 0.9991 0.0017 0.8751 1
O1 O 0.0241 0.6638 0.4617 1
O2 O 0.0271 0.6714 0.9630 1
O3 O 0.0282 0.6721 0.2126 1
O4 O 0.0305 0.6720 0.7124 1
O5 O 0.0603 0.0605 0.1903 1
O6 O 0.0615 0.0605 0.9406 1
O7 O 0.0664 0.0653 0.4389 1
O8 O 0.0675 0.0618 0.6901 1
O9 O 0.1074 0.7091 0.8976 1
O10 O 0.1082 0.7103 0.3972 1
O11 O 0.1080 0.7140 0.6478 1
O12 O 0.1105 0.7098 0.1476 1
O13 O 0.1685 0.5260 0.5880 1
O14 O 0.1680 0.5271 0.3378 1
O15 O 0.1692 0.5286 0.8382 1
O16 O 0.1714 0.5296 0.0879 1
O17 O 0.2108 0.6104 0.0228 1
O18 O 0.2107 0.6105 0.2722 1
O19 O 0.2131 0.6093 0.7728 1
O20 O 0.2219 0.5983 0.5228 1
O21 O 0.2389 0.2396 0.2350 1
O22 O 0.2393 0.2401 0.9850 1
O23 O 0.2439 0.2383 0.7343 1
O24 O 0.2454 0.2468 0.4842 1
O25 O 0.2562 0.2629 0.6418 1
O26 O 0.2565 0.2622 0.3903 1
O27 O 0.2579 0.2628 0.8904 1
O28 O 0.2605 0.2610 0.1404 1
O29 O 0.2837 0.8933 0.6034 1
O30 O 0.2860 0.8902 0.3526 1
O31 O 0.2880 0.8905 0.8533 1
O32 O 0.2902 0.8895 0.1030 1
O33 O 0.3283 0.9708 0.0380 1
O34 O 0.3276 0.9750 0.2880 1
O35 O 0.3312 0.9721 0.7877 1
O36 O 0.3347 0.9758 0.5394 1
O37 O 0.3891 0.7898 0.9783 1
O38 O 0.3899 0.7884 0.2279 1
O39 O 0.3897 0.7893 0.7277 1
O40 O 0.4015 0.7783 0.4776 1
O41 O 0.4321 0.4385 0.6857 1
O42 O 0.4373 0.4370 0.4353 1
O43 O 0.4391 0.4386 0.9356 1
O44 O 0.4397 0.4402 0.1851 1
O45 O 0.4706 0.8279 0.6635 1
O46 O 0.4720 0.8281 0.9134 1
O47 O 0.4718 0.8290 0.1628 1
O48 O 0.4744 0.8301 0.4130 1
O49 O 0.5235 0.1709 0.5876 1
O50 O 0.5258 0.1736 0.3369 1
O51 O 0.5269 0.1711 0.8379 1
O52 O 0.5293 0.1716 0.0879 1
O53 O 0.5602 0.5603 0.0655 1
O54 O 0.5614 0.5616 0.8155 1
O55 O 0.5614 0.5626 0.3150 1
O56 O 0.5643 0.5655 0.5652 1
O57 O 0.5985 0.2225 0.5230 1
O58 O 0.6075 0.2104 0.7726 1
O59 O 0.6101 0.2113 0.0228 1
O60 O 0.6106 0.2112 0.2722 1
O61 O 0.6644 0.0249 0.4613 1
O62 O 0.6702 0.0279 0.7129 1
O63 O 0.6720 0.0272 0.9628 1
O64 O 0.6719 0.0286 0.2125 1
O65 O 0.7096 0.1109 0.1476 1
O66 O 0.7121 0.1094 0.3972 1
O67 O 0.7128 0.1103 0.8979 1
O68 O 0.7157 0.1083 0.6475 1
O69 O 0.7393 0.7395 0.1102 1
O70 O 0.7420 0.7373 0.3600 1
O71 O 0.7423 0.7384 0.8605 1
O72 O 0.7427 0.7388 0.6097 1
O73 O 0.7544 0.7537 0.5169 1
O74 O 0.7584 0.7619 0.7655 1
O75 O 0.7605 0.7603 0.2657 1
O76 O 0.7609 0.7608 0.0156 1
O77 O 0.7783 0.4023 0.4779 1
O78 O 0.7882 0.3903 0.2279 1
O79 O 0.7884 0.3908 0.7282 1
O80 O 0.7895 0.3898 0.9783 1
O81 O 0.8287 0.4721 0.1628 1
O82 O 0.8299 0.4734 0.6630 1
O83 O 0.8312 0.4733 0.4126 1
O84 O 0.8323 0.4714 0.9126 1
O85 O 0.8893 0.2905 0.1030 1
O86 O 0.8909 0.2911 0.8533 1
O87 O 0.8930 0.2909 0.3530 1
O88 O 0.8945 0.2866 0.6037 1
O89 O 0.9318 0.9335 0.5617 1
O90 O 0.9380 0.9395 0.3100 1
O91 O 0.9383 0.9385 0.8105 1
O92 O 0.9396 0.9401 0.0603 1
O93 O 0.9706 0.3288 0.0380 1
O94 O 0.9736 0.3288 0.7880 1
O95 O 0.9746 0.3288 0.2878 1
O96 O 0.9763 0.3362 0.5391 1
```

(2)
Crystalline LaAl4Cu2Si at its relaxed geometry. Source: the Materials Project, functional GGA-PBE.

## Properties
total energy = -36.2 eV for the cell shown
space-group type = Pmm2 (25)

Structure (CIF):
```
data_LaAl4Cu2Si
_space_group_name_H-M_alt 'P 1'
_space_group_IT_number 1
_cell_length_a 4.2123
_cell_length_b 4.2557
_cell_length_c 7.9597
_cell_angle_alpha 90.00
_cell_angle_beta 90.00
_cell_angle_gamma 90.00
loop_
_space_group_symop_operation_xyz
'x,y,z'
loop_
_atom_site_label
_atom_site_type_symbol
_atom_site_fract_x
_atom_site_fract_y
_atom_site_fract_z
_atom_site_occupancy
La1 La 0.0000 0.0000 0.0000 1
Al1 Al 0.0000 0.5000 0.3385 1
Al2 Al 0.0000 0.5000 0.6766 1
Al3 Al 0.5000 0.0000 0.3440 1
Al4 Al 0.5000 0.5000 0.1396 1
Cu1 Cu 0.0000 0.0000 0.5099 1
Cu2 Cu 0.5000 0.5000 0.8384 1
Si1 Si 0.5000 0.0000 0.6811 1
```

(3)
Crystalline Li4Al3Cu6 at its relaxed geometry. Source: the Materials Project, functional GGA-PBE.

## Properties
total energy = -92.0 eV for the cell shown
space-group type = P6_3/mmc (194)

Structure (CIF):
```
data_Li4Al3Cu6
_space_group_name_H-M_alt 'P 1'
_space_group_IT_number 1
_cell_length_a 4.9036
_cell_length_b 4.9036
_cell_length_c 17.4285
_cell_angle_alpha 90.00
_cell_angle_beta 90.00
_cell_angle_gamma 120.00
loop_
_space_group_symop_operation_xyz
'x,y,z'
loop_
_atom_site_label
_atom_site_type_symbol
_atom_site_fract_x
_atom_site_fract_y
_atom_site_fract_z
_atom_site_occupancy
Li1 Li 0.0000 0.0000 0.2500 1
Li2 Li 0.0000 0.0000 0.7500 1
Li3 Li 0.3333 0.6667 0.0213 1
Li4 Li 0.3333 0.6667 0.4787 1
Li5 Li 0.3333 0.6667 0.7500 1
Li6 Li 0.6667 0.3333 0.2500 1
Li7 Li 0.6667 0.3333 0.5213 1
Li8 Li 0.6667 0.3333 0.9787 1
Al1 Al 0.0000 0.0000 0.0000 1
Al2 Al 0.0000 0.0000 0.5000 1
Al3 Al 0.3333 0.6667 0.1714 1
Al4 Al 0.3333 0.6667 0.3286 1
Al5 Al 0.6667 0.3333 0.6714 1
Al6 Al 0.6667 0.3333 0.8286 1
Cu1 Cu 0.1685 0.3371 0.6171 1
Cu2 Cu 0.1685 0.3371 0.8829 1
Cu3 Cu 0.1685 0.8315 0.6171 1
Cu4 Cu 0.1685 0.8315 0.8829 1
Cu5 Cu 0.3371 0.1685 0.1171 1
Cu6 Cu 0.3371 0.1685 0.3829 1
Cu7 Cu 0.6629 0.8315 0.6171 1
Cu8 Cu 0.6629 0.8315 0.8829 1
Cu9 Cu 0.8315 0.1685 0.1171 1
Cu10 Cu 0.8315 0.1685 0.3829 1
Cu11 Cu 0.8315 0.6629 0.1171 1
Cu12 Cu 0.8315 0.6629 0.3829 1
```

(4)
Crystalline LiAlCu2 at its relaxed geometry. Source: the Materials Project, functional GGA-PBE.

## Properties
total energy = -14.7 eV for the cell shown
space-group type = Fm-3m (225)

Structure (CIF):
```
data_LiAlCu2
_space_group_name_H-M_alt 'P 1'
_space_group_IT_number 1
_cell_length_a 4.1565
_cell_length_b 4.1565
_cell_length_c 4.1565
_cell_angle_alpha 60.00
_cell_angle_beta 60.00
_cell_angle_gamma 60.00
loop_
_space_group_symop_operation_xyz
'x,y,z'
loop_
_atom_site_label
_atom_site_type_symbol
_atom_site_fract_x
_atom_site_fract_y
_atom_site_fract_z
_atom_site_occupancy
Li1 Li 0.0000 0.0000 0.0000 1
Al1 Al 0.5000 0.5000 0.5000 1
Cu1 Cu 0.2500 0.2500 0.2500 1
Cu2 Cu 0.7500 0.7500 0.7500 1
```

(5)
Crystalline Li6Al13Cu8 at its relaxed geometry. Source: the Materials Project, functional GGA-PBE.

## Properties
total energy = -196.7 eV for the cell shown
space-group type = P4/mbm (127)

Structure (CIF):
```
data_Li6Al13Cu8
_space_group_name_H-M_alt 'P 1'
_space_group_IT_number 1
_cell_length_a 12.7142
_cell_length_b 12.7142
_cell_length_c 4.9578
_cell_angle_alpha 90.00
_cell_angle_beta 90.00
_cell_angle_gamma 90.00
loop_
_space_group_symop_operation_xyz
'x,y,z'
loop_
_atom_site_label
_atom_site_type_symbol
_atom_site_fract_x
_atom_site_fract_y
_atom_site_fract_z
_atom_site_occupancy
Li1 Li 0.0831 0.4169 0.0000 1
Li2 Li 0.1417 0.3583 0.5000 1
Li3 Li 0.2165 0.7165 0.5000 1
Li4 Li 0.2835 0.2165 0.5000 1
Li5 Li 0.3583 0.8583 0.5000 1
Li6 Li 0.4169 0.9169 0.0000 1
Li7 Li 0.5831 0.0831 0.0000 1
Li8 Li 0.6417 0.1417 0.5000 1
Li9 Li 0.7165 0.7835 0.5000 1
Li10 Li 0.7835 0.2835 0.5000 1
Li11 Li 0.8583 0.6417 0.5000 1
Li12 Li 0.9169 0.5831 0.0000 1
Al1 Al 0.0000 0.0000 0.0000 1
Al2 Al 0.0735 0.5735 0.5000 1
Al3 Al 0.0944 0.1169 0.5000 1
Al4 Al 0.1169 0.9056 0.5000 1
Al5 Al 0.1372 0.6372 0.0000 1
Al6 Al 0.1502 0.1932 0.0000 1
Al7 Al 0.1932 0.8498 0.0000 1
Al8 Al 0.3068 0.3498 0.0000 1
Al9 Al 0.3498 0.6932 0.0000 1
Al10 Al 0.3628 0.1372 0.0000 1
Al11 Al 0.3831 0.4056 0.5000 1
Al12 Al 0.4056 0.6169 0.5000 1
Al13 Al 0.4265 0.0735 0.5000 1
Al14 Al 0.5000 0.5000 0.0000 1
Al15 Al 0.5735 0.9265 0.5000 1
Al16 Al 0.5944 0.3831 0.5000 1
Al17 Al 0.6169 0.5944 0.5000 1
Al18 Al 0.6372 0.8628 0.0000 1
Al19 Al 0.6502 0.3068 0.0000 1
Al20 Al 0.6932 0.6502 0.0000 1
Al21 Al 0.8068 0.1502 0.0000 1
Al22 Al 0.8498 0.8068 0.0000 1
Al23 Al 0.8628 0.3628 0.0000 1
Al24 Al 0.8831 0.0944 0.5000 1
Al25 Al 0.9056 0.8831 0.5000 1
Al26 Al 0.9265 0.4265 0.5000 1
Cu1 Cu 0.0225 0.7573 0.2509 1
Cu2 Cu 0.0225 0.7573 0.7491 1
Cu3 Cu 0.2427 0.0225 0.2509 1
Cu4 Cu 0.2427 0.0225 0.7491 1
Cu5 Cu 0.2573 0.5225 0.2509 1
Cu6 Cu 0.2573 0.5225 0.7491 1
Cu7 Cu 0.4775 0.2573 0.2509 1
Cu8 Cu 0.4775 0.2573 0.7491 1
Cu9 Cu 0.5225 0.7427 0.2509 1
Cu10 Cu 0.5225 0.7427 0.7491 1
Cu11 Cu 0.7427 0.4775 0.2509 1
Cu12 Cu 0.7427 0.4775 0.7491 1
Cu13 Cu 0.7573 0.9775 0.2509 1
Cu14 Cu 0.7573 0.9775 0.7491 1
Cu15 Cu 0.9775 0.2427 0.2509 1
Cu16 Cu 0.9775 0.2427 0.7491 1
```

(6)
Crystalline LiAl2Cu at its relaxed geometry. Source: the Materials Project, functional GGA-PBE.

## Properties
total energy = -14.2 eV for the cell shown
space-group type = Fm-3m (225)

Structure (CIF):
```
data_LiAl2Cu
_space_group_name_H-M_alt 'P 1'
_space_group_IT_number 1
_cell_length_a 4.2530
_cell_length_b 4.2530
_cell_length_c 4.2530
_cell_angle_alpha 60.00
_cell_angle_beta 60.00
_cell_angle_gamma 60.00
loop_
_space_group_symop_operation_xyz
'x,y,z'
loop_
_atom_site_label
_atom_site_type_symbol
_atom_site_fract_x
_atom_site_fract_y
_atom_site_fract_z
_atom_site_occupancy
Li1 Li 0.0000 0.0000 0.0000 1
Al1 Al 0.2500 0.2500 0.2500 1
Al2 Al 0.7500 0.7500 0.7500 1
Cu1 Cu 0.5000 0.5000 0.5000 1
```

(7)
Crystalline LuAlCu at its relaxed geometry. Source: the Materials Project, functional GGA-PBE.

## Properties
total energy = -27.1 eV for the cell shown
space-group type = Imma (74)

Structure (CIF):
```
data_LuAlCu
_space_group_name_H-M_alt 'P 1'
_space_group_IT_number 1
_cell_length_a 5.2916
_cell_length_b 5.2916
_cell_length_c 5.2916
_cell_angle_alpha 119.57
_cell_angle_beta 119.10
_cell_angle_gamma 91.16
loop_
_space_group_symop_operation_xyz
'x,y,z'
loop_
_atom_site_label
_atom_site_type_symbol
_atom_site_fract_x
_atom_site_fract_y
_atom_site_fract_z
_atom_site_occupancy
Lu1 Lu 0.3752 0.1252 0.2500 1
Lu2 Lu 0.6248 0.8748 0.7500 1
Al1 Al 0.0000 0.5000 0.5000 1
Al2 Al 0.5000 0.5000 0.0000 1
Cu1 Cu 0.0000 0.0000 0.5000 1
Cu2 Cu 0.0000 0.5000 0.0000 1
```

(8)
Crystalline LuAlCu2 at its relaxed geometry. Source: the Materials Project, functional GGA-PBE.

## Properties
total energy = -18.0 eV for the cell shown
space-group type = Fm-3m (225)

Structure (CIF):
```
data_LuAlCu2
_space_group_name_H-M_alt 'P 1'
_space_group_IT_number 1
_cell_length_a 4.4631
_cell_length_b 4.4631
_cell_length_c 4.4631
_cell_angle_alpha 60.00
_cell_angle_beta 60.00
_cell_angle_gamma 60.00
loop_
_space_group_symop_operation_xyz
'x,y,z'
loop_
_atom_site_label
_atom_site_type_symbol
_atom_site_fract_x
_atom_site_fract_y
_atom_site_fract_z
_atom_site_occupancy
Lu1 Lu 0.0000 0.0000 0.0000 1
Al1 Al 0.5000 0.5000 0.5000 1
Cu1 Cu 0.2500 0.2500 0.2500 1
Cu2 Cu 0.7500 0.7500 0.7500 1
```

Question: total energy of number 7 (LuAlCu)?
Answer: -27.1 eV for the cell shown